{
  "formula": "K3Ta8O21",
  "functional": "PBE",
  "state": "relaxed",
  "cell": [[4.6238, -8.0086, 0.0000], [4.6238, 8.0086, 0.0000], [0.0000, 0.0000, 12.2177]],
  "species": ["K", "K", "K", "K", "K", "K", "Ta", "Ta", "Ta", "Ta", "Ta", "Ta", "Ta", "Ta", "Ta", "Ta", "Ta", "Ta", "Ta", "Ta", "Ta", "Ta", "O", "O", "O", "O", "O", "O", "O", "O", "O", "O", "O", "O", "O", "O", "O", "O", "O", "O", "O", "O", "O", "O", "O", "O", "O", "O", "O", "O", "O", "O", "O", "O", "O", "O", "O", "O", "O", "O", "O", "O", "O", "O"],
  "frac_coords": [[0.0000, 0.5900, 0.2500], [0.0000, 0.4100, 0.7500], [0.4100, 0.4100, 0.2500], [0.5900, 0.5900, 0.7500], [0.4100, 0.0000, 0.7500], [0.5900, 0.0000, 0.2500], [0.0000, 0.7525, 0.5945], [0.0000, 0.7525, 0.9055], [0.0000, 0.2475, 0.4055], [0.0000, 0.2475, 0.0945], [0.3333, 0.6667, 0.5000], [0.3333, 0.6667, 0.0000], [0.2475, 0.2475, 0.9055], [0.2475, 0.2475, 0.5945], [0.2475, 0.0000, 0.0945], [0.2475, 0.0000, 0.4055], [0.7525, 0.7525, 0.0945], [0.7525, 0.7525, 0.4055], [0.6667, 0.3333, 0.5000], [0.6667, 0.3333, 0.0000], [0.7525, 0.0000, 0.5945], [0.7525, 0.0000, 0.9055], [0.0000, 0.8016, 0.0739], [0.0000, 0.8016, 0.4261], [0.0000, 0.7910, 0.7500], [0.1679, 0.6868, 0.9055], [0.1679, 0.6868, 0.5945], [0.0000, 0.2090, 0.2500], [0.3132, 0.8321, 0.0945], [0.3132, 0.8321, 0.4055], [0.0000, 0.1984, 0.5739], [0.0000, 0.1984, 0.9261], [0.1679, 0.4811, 0.0945], [0.1679, 0.4811, 0.4055], [0.3132, 0.4811, 0.9055], [0.3132, 0.4811, 0.5945], [0.1984, 0.1984, 0.0739], [0.1984, 0.1984, 0.4261], [0.5189, 0.8321, 0.5945], [0.5189, 0.8321, 0.9055], [0.2090, 0.2090, 0.7500], [0.5189, 0.6868, 0.4055], [0.5189, 0.6868, 0.0945], [0.1984, 0.0000, 0.9261], [0.1984, 0.0000, 0.5739], [0.2090, 0.0000, 0.2500], [0.4811, 0.3132, 0.9055], [0.4811, 0.3132, 0.5945], [0.7910, 0.7910, 0.2500], [0.4811, 0.1679, 0.0945], [0.4811, 0.1679, 0.4055], [0.8016, 0.8016, 0.5739], [0.8016, 0.8016, 0.9261], [0.6868, 0.5189, 0.0945], [0.6868, 0.5189, 0.4055], [0.8321, 0.5189, 0.5945], [0.8321, 0.5189, 0.9055], [0.6868, 0.1679, 0.5945], [0.6868, 0.1679, 0.9055], [0.8321, 0.3132, 0.4055], [0.8321, 0.3132, 0.0945], [0.7910, 0.0000, 0.7500], [0.8016, 0.0000, 0.4261], [0.8016, 0.0000, 0.0739]],
  "dft_energy_ev_per_atom": -9.0892,
  "space_group": "P6_3/mcm, No. 193"
}


{
  "formula": "K2Ta15O32",
  "functional": "PBE",
  "state": "relaxed",
  "cell": [[12.2734, -3.9363, 0.0000], [12.2734, 3.9363, 0.0000], [11.0110, 0.0000, 6.7000]],
  "species": ["K", "K", "Ta", "Ta", "Ta", "Ta", "Ta", "Ta", "Ta", "Ta", "Ta", "Ta", "Ta", "Ta", "Ta", "Ta", "Ta", "O", "O", "O", "O", "O", "O", "O", "O", "O", "O", "O", "O", "O", "O", "O", "O", "O", "O", "O", "O", "O", "O", "O", "O", "O", "O", "O", "O", "O", "O", "O", "O"],
  "frac_coords": [[0.8595, 0.8595, 0.8595], [0.1405, 0.1405, 0.1405], [0.5000, 0.5000, 0.5000], [0.2982, 0.9745, 0.4293], [0.4293, 0.2982, 0.9745], [0.9745, 0.4293, 0.2982], [0.7018, 0.0255, 0.5707], [0.5707, 0.7018, 0.0255], [0.0255, 0.5707, 0.7018], [0.1857, 0.7713, 0.9466], [0.9466, 0.1857, 0.7713], [0.7713, 0.9466, 0.1857], [0.8143, 0.2287, 0.0534], [0.0534, 0.8143, 0.2287], [0.2287, 0.0534, 0.8143], [0.6373, 0.6373, 0.6373], [0.3627, 0.3627, 0.3627], [0.3247, 0.7376, 0.5344], [0.5344, 0.3247, 0.7376], [0.7376, 0.5344, 0.3247], [0.6753, 0.2624, 0.4656], [0.4656, 0.6753, 0.2624], [0.2624, 0.4656, 0.6753], [0.0322, 0.1513, 0.4451], [0.4451, 0.0322, 0.1513], [0.1513, 0.4451, 0.0322], [0.9678, 0.8487, 0.5549], [0.5549, 0.9678, 0.8487], [0.8487, 0.5549, 0.9678], [0.2632, 0.2632, 0.2632], [0.7368, 0.7368, 0.7368], [0.1404, 0.9603, 0.7007], [0.7007, 0.1404, 0.9603], [0.9603, 0.7007, 0.1404], [0.1694, 0.2596, 0.5708], [0.2596, 0.5708, 0.1694], [0.5708, 0.1694, 0.2596], [0.8306, 0.7404, 0.4292], [0.7404, 0.4292, 0.8306], [0.4292, 0.8306, 0.7404], [0.4578, 0.1548, 0.5711], [0.1548, 0.5711, 0.4578], [0.5711, 0.4578, 0.1548], [0.5422, 0.8452, 0.4289], [0.8452, 0.4289, 0.5422], [0.4289, 0.5422, 0.8452], [0.0397, 0.2993, 0.8596], [0.2993, 0.8596, 0.0397], [0.8596, 0.0397, 0.2993]],
  "dft_energy_ev_per_atom": -9.5919,
  "space_group": "R-3, No. 148"
}


{
  "formula": "K6Ta11O30",
  "functional": "PBE",
  "state": "relaxed",
  "cell": [[9.0773, -9.1399, 0.0000], [9.0773, 9.1399, 0.0000], [0.0000, 0.0000, 3.9601]],
  "species": ["K", "K", "K", "K", "K", "K", "Ta", "Ta", "Ta", "Ta", "Ta", "Ta", "Ta", "Ta", "Ta", "Ta", "Ta", "O", "O", "O", "O", "O", "O", "O", "O", "O", "O", "O", "O", "O", "O", "O", "O", "O", "O", "O", "O", "O", "O", "O", "O", "O", "O", "O", "O", "O", "O"],
  "frac_coords": [[0.8378, 0.1622, 0.0000], [0.1701, 0.8299, 0.0000], [0.3124, 0.3254, 0.0000], [0.6746, 0.6876, 0.0000], [0.4980, 0.9900, 0.0000], [0.0100, 0.5020, 0.0000], [0.5721, 0.1944, 0.5000], [0.4207, 0.7947, 0.5000], [0.0845, 0.2872, 0.5000], [0.9304, 0.7190, 0.5000], [0.2810, 0.0696, 0.5000], [0.7128, 0.9155, 0.5000], [0.2053, 0.5793, 0.5000], [0.8056, 0.4279, 0.5000], [0.4863, 0.5137, 0.5000], [0.9940, 0.0060, 0.5000], [0.6166, 0.3834, 0.0000], [0.7087, 0.2913, 0.5000], [0.2903, 0.7097, 0.5000], [0.2149, 0.2128, 0.5000], [0.7872, 0.7851, 0.5000], [0.5059, 0.4941, 0.0000], [0.9994, 0.0006, 0.0000], [0.5152, 0.3490, 0.5000], [0.5053, 0.6556, 0.5000], [0.9999, 0.1571, 0.5000], [0.0011, 0.8455, 0.5000], [0.1545, 0.9989, 0.5000], [0.8429, 0.0001, 0.5000], [0.3444, 0.4947, 0.5000], [0.6510, 0.4848, 0.5000], [0.6419, 0.0694, 0.5000], [0.3574, 0.9311, 0.5000], [0.1431, 0.4315, 0.5000], [0.8562, 0.5633, 0.5000], [0.4367, 0.1438, 0.5000], [0.5685, 0.8569, 0.5000], [0.0689, 0.6426, 0.5000], [0.9306, 0.3581, 0.5000], [0.5810, 0.2303, 0.0000], [0.4247, 0.7920, 0.0000], [0.0758, 0.2953, 0.0000], [0.9210, 0.7016, 0.0000], [0.2984, 0.0790, 0.0000], [0.7047, 0.9242, 0.0000], [0.2080, 0.5753, 0.0000], [0.7697, 0.4190, 0.0000]],
  "dft_energy_ev_per_atom": -8.7494,
  "space_group": "Amm2, No. 38",
  "m_tot_mub_per_cell": 1.13
}


{
  "formula": "KTa3Te2O12",
  "functional": "PBE",
  "state": "relaxed",
  "cell": [[-3.6540, 0.9858, -1.2495], [-3.5110, -14.7067, -1.3350], [-5.7470, -0.1433, 16.6930]],
  "species": ["K", "K", "K", "K", "Ta", "Ta", "Ta", "Ta", "Ta", "Ta", "Ta", "Ta", "Ta", "Ta", "Ta", "Ta", "Te", "Te", "Te", "Te", "Te", "Te", "Te", "Te", "O", "O", "O", "O", "O", "O", "O", "O", "O", "O", "O", "O", "O", "O", "O", "O", "O", "O", "O", "O", "O", "O", "O", "O", "O", "O", "O", "O", "O", "O", "O", "O", "O", "O", "O", "O", "O", "O", "O", "O", "O", "O", "O", "O", "O", "O", "O", "O"],
  "frac_coords": [[0.2215, 0.0710, 0.7500], [0.7785, 0.9290, 0.2500], [0.2215, 0.4290, 0.2500], [0.7785, 0.5710, 0.7500], [0.2524, 0.7937, 0.7500], [0.7476, 0.2063, 0.2500], [0.2524, 0.7063, 0.2500], [0.7476, 0.2937, 0.7500], [0.7510, 0.1499, 0.5695], [0.2490, 0.8501, 0.0695], [0.7510, 0.3501, 0.4305], [0.2490, 0.6499, 0.9305], [0.2490, 0.8501, 0.4305], [0.7510, 0.1499, 0.9305], [0.2490, 0.6499, 0.5695], [0.7510, 0.3501, 0.0695], [0.6201, 0.9142, 0.5976], [0.3799, 0.0858, 0.0976], [0.6201, 0.5858, 0.4024], [0.3799, 0.4142, 0.9024], [0.3799, 0.0858, 0.4024], [0.6201, 0.9142, 0.9024], [0.3799, 0.4142, 0.5976], [0.6201, 0.5858, 0.0976], [0.2800, 0.9332, 0.5233], [0.7200, 0.0668, 0.0233], [0.2800, 0.5668, 0.4767], [0.7200, 0.4332, 0.9767], [0.7200, 0.0668, 0.4767], [0.2800, 0.9332, 0.9767], [0.7200, 0.4332, 0.5233], [0.2800, 0.5668, 0.0233], [0.7030, 0.0315, 0.6297], [0.2970, 0.9685, 0.1297], [0.7030, 0.4685, 0.3703], [0.2970, 0.5315, 0.8703], [0.2970, 0.9685, 0.3703], [0.7030, 0.0315, 0.8703], [0.2970, 0.5315, 0.6297], [0.7030, 0.4685, 0.1297], [0.2860, 0.8964, 0.6737], [0.7140, 0.1036, 0.1737], [0.2860, 0.6036, 0.3263], [0.7140, 0.3964, 0.8263], [0.7140, 0.1036, 0.3263], [0.2860, 0.8964, 0.8263], [0.7140, 0.3964, 0.6737], [0.2860, 0.6036, 0.1737], [0.2873, 0.7075, 0.6682], [0.7127, 0.2925, 0.1682], [0.2873, 0.7925, 0.3318], [0.7127, 0.2075, 0.8318], [0.7127, 0.2925, 0.3318], [0.2873, 0.7075, 0.8318], [0.7127, 0.2075, 0.6682], [0.2873, 0.7925, 0.1682], [0.7828, 0.8024, 0.7500], [0.2172, 0.1976, 0.2500], [0.7828, 0.6976, 0.2500], [0.2172, 0.3024, 0.7500], [0.7090, 0.2500, 0.5000], [0.2910, 0.7500, 0.0000], [0.2910, 0.7500, 0.5000], [0.7090, 0.2500, 0.0000], [0.2185, 0.1447, 0.5674], [0.7815, 0.8553, 0.0674], [0.2185, 0.3553, 0.4326], [0.7815, 0.6447, 0.9326], [0.7815, 0.8553, 0.4326], [0.2185, 0.1447, 0.9326], [0.7815, 0.6447, 0.5674], [0.2185, 0.3553, 0.0674]],
  "dft_energy_ev_per_atom": -7.9119,
  "space_group": "Pbcm, No. 57",
  "m_tot_mub_per_cell": 0.00
}


{
  "formula": "K2TbO3",
  "functional": "PBE",
  "state": "relaxed",
  "cell": [[3.5207, -5.5097, 0.0000], [3.5207, 5.5097, 0.0000], [0.0000, 0.0000, 6.1865]],
  "species": ["K", "K", "K", "K", "Tb", "Tb", "O", "O", "O", "O", "O", "O"],
  "frac_coords": [[0.5254, 0.1884, 0.7674], [0.8116, 0.4746, 0.2674], [0.1884, 0.5254, 0.7674], [0.4746, 0.8116, 0.2674], [0.8934, 0.8934, 0.7318], [0.1066, 0.1066, 0.2318], [0.8939, 0.1567, 0.4997], [0.8433, 0.1061, 0.9997], [0.3984, 0.3984, 0.1341], [0.6016, 0.6016, 0.6341], [0.1061, 0.8433, 0.9997], [0.1567, 0.8939, 0.4997]],
  "dft_energy_ev_per_atom": -5.5991,
  "space_group": "Cmc2_1, No. 36",
  "m_tot_mub_per_cell": 2.00
}


{
  "formula": "KTbO3",
  "functional": "PBE",
  "state": "relaxed",
  "cell": [[4.4948, 0.0000, 0.0000], [0.0000, 4.4948, 0.0000], [0.0000, 0.0000, 4.4948]],
  "species": ["K", "Tb", "O", "O", "O"],
  "frac_coords": [[0.0000, 0.0000, 0.0000], [0.5000, 0.5000, 0.5000], [0.5000, 0.5000, 0.0000], [0.5000, 0.0000, 0.5000], [0.0000, 0.5000, 0.5000]],
  "dft_energy_ev_per_atom": -5.9833,
  "space_group": "Pm-3m, No. 221",
  "m_tot_mub_per_cell": 2.00
}


{
  "formula": "K2TbO3",
  "functional": "PBE",
  "state": "relaxed",
  "cell": [[5.4889, 3.1586, 0.0000], [-5.4889, 3.1586, 0.0000], [0.0000, 2.1768, 12.4222]],
  "species": ["K", "K", "K", "K", "K", "K", "K", "K", "Tb", "Tb", "Tb", "Tb", "O", "O", "O", "O", "O", "O", "O", "O", "O", "O", "O", "O"],
  "frac_coords": [[0.6848, 0.8424, 0.4998], [0.8424, 0.6848, 0.9998], [0.0857, 0.9143, 0.2500], [0.0000, 0.5000, 0.5000], [0.9143, 0.0857, 0.7500], [0.5000, 0.0000, 0.0000], [0.1576, 0.3152, 0.0002], [0.3152, 0.1576, 0.5002], [0.4182, 0.5818, 0.2500], [0.7524, 0.2476, 0.2500], [0.5818, 0.4182, 0.7500], [0.2476, 0.7524, 0.7500], [0.7312, 0.9490, 0.1514], [0.4409, 0.8802, 0.3487], [0.9490, 0.7312, 0.6514], [0.6611, 0.4906, 0.3481], [0.8802, 0.4409, 0.8487], [0.4906, 0.6611, 0.8481], [0.5094, 0.3389, 0.1519], [0.1198, 0.5591, 0.1513], [0.3389, 0.5094, 0.6519], [0.0510, 0.2688, 0.3486], [0.5591, 0.1198, 0.6513], [0.2688, 0.0510, 0.8486]],
  "dft_energy_ev_per_atom": -5.6754,
  "space_group": "C2/c, No. 15"
}


{
  "formula": "KTcO4",
  "functional": "PBE",
  "state": "relaxed",
  "cell": [[-3.6511, 4.4219, -0.7931], [-4.2060, -3.7237, -1.3986], [2.1431, -0.6951, 7.3866]],
  "species": ["K", "K", "Tc", "Tc", "O", "O", "O", "O", "O", "O", "O", "O"],
  "frac_coords": [[0.5000, 0.5000, 0.0000], [0.7500, 0.2500, 0.5000], [0.0000, 0.0000, 0.0000], [0.2500, 0.7500, 0.5000], [0.0363, 0.7034, 0.8484], [0.3950, 0.7863, 0.3484], [0.9534, 0.5621, 0.3484], [0.8121, 0.1450, 0.8484], [0.4379, 0.6050, 0.6516], [0.2966, 0.1879, 0.1516], [0.8550, 0.9637, 0.1516], [0.2137, 0.0466, 0.6516]],
  "dft_energy_ev_per_atom": -6.9096,
  "space_group": "I4_1/a, No. 88"
}


{
  "formula": "K2Te3O12",
  "functional": "PBE",
  "state": "relaxed",
  "cell": [[5.6889, 3.1999, 11.7340], [1.9164, 8.9272, 7.0877], [-2.1330, -3.8746, 7.0042]],
  "species": ["K", "K", "K", "K", "Te", "Te", "Te", "Te", "Te", "Te", "O", "O", "O", "O", "O", "O", "O", "O", "O", "O", "O", "O", "O", "O", "O", "O", "O", "O", "O", "O", "O", "O", "O", "O"],
  "frac_coords": [[0.2983, 0.0578, 0.7414], [0.9025, 0.7414, 0.0578], [0.5086, 0.3475, 0.9517], [0.1922, 0.9517, 0.3475], [0.2553, 0.2447, 0.2447], [0.0053, 0.9947, 0.9947], [0.6291, 0.4775, 0.4984], [0.3950, 0.4984, 0.4775], [0.7516, 0.8550, 0.6209], [0.7725, 0.6209, 0.8550], [0.1390, 0.2413, 0.1843], [0.4353, 0.1843, 0.2413], [0.0657, 0.8147, 0.1110], [0.0087, 0.1110, 0.8147], [0.7331, 0.3781, 0.6410], [0.2478, 0.6410, 0.3781], [0.6090, 0.0022, 0.5169], [0.8719, 0.5169, 0.0022], [0.6967, 0.5810, 0.3948], [0.3275, 0.3948, 0.5810], [0.8552, 0.9225, 0.5533], [0.6690, 0.5533, 0.9225], [0.6588, 0.7665, 0.7121], [0.8625, 0.7121, 0.7665], [0.5379, 0.3875, 0.5912], [0.4835, 0.5912, 0.3875], [0.3198, 0.7894, 0.7979], [0.0930, 0.7979, 0.7894], [0.4521, 0.1570, 0.9302], [0.4606, 0.9302, 0.1570], [0.9307, 0.1663, 0.2092], [0.6937, 0.2092, 0.1663], [0.0408, 0.5563, 0.3193], [0.0837, 0.3193, 0.5563]],
  "dft_energy_ev_per_atom": -4.9194,
  "space_group": "Fdd2, No. 43",
  "m_tot_mub_per_cell": 8.00
}


{
  "formula": "K2TeO4",
  "functional": "PBE",
  "state": "relaxed",
  "cell": [[-1.5011, -2.7075, 7.7250], [6.0127, -2.1162, 0.4266], [8.1286, 7.8893, 4.3446]],
  "species": ["K", "K", "K", "K", "K", "K", "K", "K", "Te", "Te", "Te", "Te", "O", "O", "O", "O", "O", "O", "O", "O", "O", "O", "O", "O", "O", "O", "O", "O"],
  "frac_coords": [[0.2469, 0.7807, 0.9089], [0.5037, 0.5189, 0.7257], [0.2531, 0.7807, 0.4089], [0.0037, 0.4811, 0.7743], [0.9963, 0.5189, 0.2257], [0.7469, 0.2193, 0.5911], [0.4963, 0.4811, 0.2743], [0.7531, 0.2193, 0.0911], [0.7286, 0.8652, 0.9304], [0.7714, 0.8652, 0.4304], [0.2286, 0.1348, 0.5696], [0.2714, 0.1348, 0.0696], [0.9185, 0.7290, 0.9177], [0.5657, 0.7598, 0.8651], [0.7994, 0.7790, 0.5962], [0.2414, 0.8115, 0.6485], [0.5815, 0.7290, 0.4177], [0.9343, 0.7598, 0.3651], [0.7414, 0.1885, 0.8515], [0.2994, 0.2210, 0.9038], [0.7006, 0.7790, 0.0962], [0.2586, 0.8115, 0.1485], [0.0657, 0.2402, 0.6349], [0.4185, 0.2710, 0.5823], [0.7586, 0.1885, 0.3515], [0.2006, 0.2210, 0.4038], [0.4343, 0.2402, 0.1349], [0.0815, 0.2710, 0.0823]],
  "dft_energy_ev_per_atom": -4.9965,
  "space_group": "P2_1/c, No. 14"
}